[1]
DFT (PBE-GGA) results for a relaxed structure of FeSi7N10.

a = 6.694 Å, b = 6.899 Å, c = 9.716 Å
α = 90.00°, β = 104.11°, γ = 90.00°
Space group Pc (No. 7)
Asymmetric unit:
Fe1 0.000 0.081 0.000 (multiplicity 2)
Si1 0.110 0.401 0.870 (multiplicity 2)
Si2 0.298 0.379 0.177 (multiplicity 2)
Si3 0.350 0.022 0.816 (multiplicity 2)
Si4 0.486 0.366 0.480 (multiplicity 2)
Si5 0.544 0.018 0.118 (multiplicity 2)
Si6 0.660 0.363 0.785 (multiplicity 2)
Si7 0.847 0.383 0.102 (multiplicity 2)
N1 0.076 0.432 0.230 (multiplicity 2)
N2 0.151 0.157 0.846 (multiplicity 2)
N3 0.290 0.494 0.018 (multiplicity 2)
N4 0.314 0.128 0.160 (multiplicity 2)
N5 0.447 0.120 0.466 (multiplicity 2)
N6 0.499 0.456 0.315 (multiplicity 2)
N7 0.553 0.137 0.763 (multiplicity 2)
N8 0.701 0.415 0.618 (multiplicity 2)
N9 0.755 0.151 0.103 (multiplicity 2)
N10 0.880 0.384 0.925 (multiplicity 2)

Output
VASP energy (eV/f.u.): -144.529
Spin magnetization (μB/cell): 8.001
MP2020-corrected energy (eV/atom): -8.23
Crystal system: monoclinic
Calculated volume (Å³ per cell): 435.17

***

[2]
DFT (PBE-GGA) results for a relaxed structure of CeS2O12.

a = 15.334 Å, b = 11.248 Å, c = 5.910 Å
α = 90.00°, β = 90.00°, γ = 90.00°
Space group Pnma (No. 62)
Asymmetric unit:
Ce1 0.163 0.250 0.114 (multiplicity 4)
S1 0.153 0.553 0.389 (multiplicity 8)
O1 0.032 0.250 0.233 (multiplicity 4)
O2 0.072 0.151 0.919 (multiplicity 8)
O3 0.094 0.576 0.584 (multiplicity 8)
O4 0.104 0.599 0.192 (multiplicity 8)
O5 0.169 0.078 0.365 (multiplicity 8)
O6 0.206 0.750 0.854 (multiplicity 4)
O7 0.238 0.613 0.411 (multiplicity 8)

Output
VASP energy (eV/f.u.): -83.910
Spin magnetization (μB/cell): 32.007
MP2020-corrected energy (eV/atom): -6.14
Crystal system: orthorhombic
Calculated volume (Å³ per cell): 1019.22

***

[3]
DFT (PBE-GGA) results for a relaxed structure of Sc2Nb3Si3.

a = 5.377 Å, b = 13.488 Å, c = 7.718 Å
α = 90.00°, β = 90.00°, γ = 90.00°
Space group Amm2 (No. 38)
Asymmetric unit:
Sc1 0.000 0.000 0.000 (multiplicity 2)
Sc2 0.000 0.126 0.629 (multiplicity 4)
Sc3 0.500 0.000 0.503 (multiplicity 2)
Nb1 0.249 0.167 0.253 (multiplicity 8)
Nb2 0.500 0.132 0.886 (multiplicity 4)
Si1 0.000 0.000 0.358 (multiplicity 2)
Si2 0.000 0.197 0.951 (multiplicity 4)
Si3 0.500 0.000 0.142 (multiplicity 2)
Si4 0.500 0.196 0.559 (multiplicity 4)

Output
VASP energy (eV/f.u.): -64.840
Spin magnetization (μB/cell): 0.000
MP2020-corrected energy (eV/atom): -8.08
Crystal system: orthorhombic
Calculated volume (Å³ per cell): 559.76

***

[4]
DFT (PBE-GGA) results for a relaxed structure of Dy2Te.

a = 22.209 Å, b = 4.067 Å, c = 11.542 Å
α = 90.00°, β = 90.00°, γ = 90.00°
Space group Pnma (No. 62)
Asymmetric unit:
Dy1 0.017 0.250 0.113 (multiplicity 4)
Dy2 0.034 0.750 0.384 (multiplicity 4)
Dy3 0.109 0.250 0.848 (multiplicity 4)
Dy4 0.147 0.750 0.085 (multiplicity 4)
Dy5 0.160 0.250 0.544 (multiplicity 4)
Dy6 0.233 0.750 0.765 (multiplicity 4)
Te1 0.069 0.750 0.649 (multiplicity 4)
Te2 0.127 0.250 0.288 (multiplicity 4)
Te3 0.239 0.250 0.980 (multiplicity 4)

Output
VASP energy (eV/f.u.): -14.976
MP2020-corrected energy (eV/atom): -5.13
Crystal system: orthorhombic
Calculated volume (Å³ per cell): 1042.51

***

[5]
DFT (PBE-GGA) results for a relaxed structure of SmHg2.

a = 5.4430 Å, b = 5.4430 Å, c = 3.4189 Å
α = 90.00°, β = 90.00°, γ = 120.00°
Space group P-3m1 (No. 164)
Asymmetric unit:
Sm1 0.0000 0.0000 0.0000 (multiplicity 1)
Hg1 0.3333 0.6667 0.9451 (multiplicity 2)

Output
VASP energy (eV/f.u.): -5.601
Spin magnetization (μB/cell): 0.000
Crystal system: trigonal
Calculated volume (Å³ per cell): 87.72

***

[6]
DFT (PBE-GGA) results for a relaxed structure of Mn3Re.

a = 5.822 Å, b = 5.822 Å, c = 5.822 Å
α = 90.00°, β = 90.00°, γ = 90.00°
Space group Fm-3m (No. 225)
Asymmetric unit:
Mn1 0.000 0.000 0.000 (multiplicity 4)
Mn2 0.250 0.250 0.250 (multiplicity 8)
Re1 0.000 0.000 0.500 (multiplicity 4)

Output
VASP energy (eV/f.u.): -39.691
Spin magnetization (μB/cell): 15.439
Crystal system: cubic
Calculated volume (Å³ per cell): 197.32

***

Please write out number 6 again, unchanged.
DFT (PBE-GGA) results for a relaxed structure of Mn3Re.

a = 5.822 Å, b = 5.822 Å, c = 5.822 Å
α = 90.00°, β = 90.00°, γ = 90.00°
Space group Fm-3m (No. 225)
Asymmetric unit:
Mn1 0.000 0.000 0.000 (multiplicity 4)
Mn2 0.250 0.250 0.250 (multiplicity 8)
Re1 0.000 0.000 0.500 (multiplicity 4)

Output
VASP energy (eV/f.u.): -39.691
Spin magnetization (μB/cell): 15.439
Crystal system: cubic
Calculated volume (Å³ per cell): 197.32

***

Copy entry 4 word for word.
DFT (PBE-GGA) results for a relaxed structure of Dy2Te.

a = 22.209 Å, b = 4.067 Å, c = 11.542 Å
α = 90.00°, β = 90.00°, γ = 90.00°
Space group Pnma (No. 62)
Asymmetric unit:
Dy1 0.017 0.250 0.113 (multiplicity 4)
Dy2 0.034 0.750 0.384 (multiplicity 4)
Dy3 0.109 0.250 0.848 (multiplicity 4)
Dy4 0.147 0.750 0.085 (multiplicity 4)
Dy5 0.160 0.250 0.544 (multiplicity 4)
Dy6 0.233 0.750 0.765 (multiplicity 4)
Te1 0.069 0.750 0.649 (multiplicity 4)
Te2 0.127 0.250 0.288 (multiplicity 4)
Te3 0.239 0.250 0.980 (multiplicity 4)

Output
VASP energy (eV/f.u.): -14.976
MP2020-corrected energy (eV/atom): -5.13
Crystal system: orthorhombic
Calculated volume (Å³ per cell): 1042.51